(1)
DFT (PBE-GGA) results for crystalline Na42Ca20Nb4Si15S21O144 at its relaxed geometry.

extended XYZ file:
```
246
Lattice="-3.250 -0.174 -18.664 7.632 -4.421 3.535 -12.203 -19.128 2.317" Properties=species:S:1:pos:R:3 pbc="T T T"
O -5.175 -18.050 -9.564
O -3.515 -6.230 -15.714
O 0.132 -6.722 0.655
O 1.212 -8.438 -8.596
O -8.660 -16.470 0.571
Si 1.076 -8.009 -3.490
O -6.284 -16.651 -4.484
Ca 4.382 -3.309 -0.779
Na -0.528 -13.995 -4.658
O -7.436 -14.106 0.617
Nb 4.111 -7.359 -5.424
O -1.059 -4.662 1.093
O -2.664 -3.831 -1.142
O -3.184 -9.527 -2.296
O 5.015 -6.424 -4.004
O -11.560 -13.615 -15.479
Si -9.001 -15.802 -9.359
Na -2.294 -6.172 -11.123
S -0.073 -10.817 3.029
O -6.450 -19.364 -0.911
S -6.269 -12.684 -6.624
Ca -4.518 -11.077 -3.749
S -10.000 -19.198 -6.200
Si -7.338 -15.729 0.027
S 0.808 -3.097 -1.861
O -4.041 -6.124 -1.324
S -0.831 -6.075 1.589
S -7.898 -12.734 -15.974
Na -3.486 -15.743 0.760
O -6.393 -8.050 -6.588
O -2.621 -14.991 -7.853
O -7.297 -22.509 -7.067
Na -4.045 -7.712 -13.448
S -6.993 -17.617 -14.426
O -1.790 -7.193 -13.404
Si -10.314 -14.513 -4.726
Na -6.829 -16.873 -11.222
O -6.724 -8.844 -13.931
Na -11.178 -19.065 -9.290
O -1.870 -3.240 -5.328
O -9.875 -19.222 -4.712
O -9.005 -15.824 -10.988
S -2.442 -6.187 -7.721
O -7.969 -8.127 -15.887
Na 2.122 -8.893 -10.932
Ca -10.787 -20.380 -2.800
Ca 2.631 -3.426 -10.052
O 0.157 -4.236 -2.544
O 2.607 -3.212 -6.160
O -9.054 -14.146 -8.776
O -0.584 -11.670 -5.615
Si 2.433 -9.368 -8.004
Na -2.770 -11.150 -12.566
Si -0.759 -3.151 -11.229
O 1.035 -11.544 3.739
O -2.142 -1.083 -15.443
Na -6.051 -9.546 -16.319
O -2.560 -5.437 -3.396
S 2.389 -4.597 -6.607
O -10.806 -18.319 -1.939
O -0.201 -7.775 -11.255
Na -5.353 -8.297 -1.994
Na -13.680 -17.866 -13.690
O -5.488 -18.922 -4.570
Na -9.418 -18.566 0.013
O -7.963 -21.235 -11.836
Na -8.934 -17.175 -2.810
O -5.936 -16.310 0.645
Na -10.273 -17.281 -12.437
O -8.937 -15.117 -4.130
Si -3.576 -1.842 -15.364
O -5.645 -11.546 -5.909
O -11.138 -15.682 -5.444
Si -3.209 -14.096 -2.661
O -0.133 -7.045 -4.008
O -4.265 -20.354 1.889
O -1.522 -12.907 -10.281
Na 0.911 -6.116 -9.831
O -6.667 -13.767 -5.716
Ca -10.291 -16.216 1.961
O -2.938 -12.627 -3.322
O -4.177 -2.040 -16.975
O 1.912 -5.565 -15.469
O -9.261 -21.636 -9.846
S -8.844 -20.597 -10.816
Na 0.400 -7.654 -6.402
O -3.144 -9.101 -10.069
O -8.375 -19.979 -2.243
Ca -12.411 -20.562 -12.068
Si -3.539 -4.876 -2.223
O -10.571 -15.134 -13.440
Na -0.765 -6.340 -1.772
O -3.901 -17.110 -4.849
Na 3.790 -8.824 -1.666
Na -11.233 -14.531 -11.194
Na -8.179 -16.027 -6.277
O -0.526 -1.820 -12.166
O -5.715 -6.199 -10.647
S -2.812 -9.598 -0.840
Nb 2.420 -7.474 -14.735
O -2.664 -4.798 -8.235
Na -0.918 -15.678 -0.988
O -4.238 -10.381 -14.602
Na -12.101 -17.715 -4.005
O -7.538 -12.107 -7.277
Si -1.993 -1.761 -5.972
Na -5.197 -12.895 -0.601
O -1.143 -14.840 1.305
O -8.460 -20.517 2.671
O -4.255 -5.537 -12.733
O 2.491 -7.666 -4.389
O -2.624 -10.341 -5.301
O -3.995 -17.387 2.780
O -7.953 -16.717 -13.729
Ca -8.443 -14.581 -12.825
O -7.523 -21.497 -0.519
S -4.492 -9.710 -10.158
O -5.091 -8.756 -4.667
S -8.393 -19.143 3.185
Nb -11.191 -12.637 -17.105
O -3.941 -15.312 -12.744
Si -0.590 -8.098 -12.803
O -2.334 -16.972 4.473
Ca -6.830 -14.531 -3.411
Na 5.991 -5.680 0.429
O -0.807 -11.787 2.209
Na -7.754 -20.641 -4.489
O 0.937 -3.386 -15.365
S -9.085 -11.410 -11.093
O -1.475 -8.971 -0.674
Ca 1.727 -11.024 -4.999
S -0.254 -12.427 -10.858
O -5.608 -21.972 -5.440
O -7.603 -16.357 -8.705
O -2.782 -10.999 -0.374
Na -1.330 -7.763 -15.768
O 0.535 -3.772 -10.485
O -8.261 -13.788 -15.016
O 4.544 -5.366 -1.551
O 0.876 -7.660 -13.687
O -8.818 -18.463 -6.736
O -4.941 -9.658 -11.598
O -4.577 -12.700 -12.572
O -3.877 -13.120 1.556
O 1.147 -5.180 -6.080
O 1.970 -3.552 -1.091
Na 1.331 -4.759 -12.619
O -7.149 -18.968 -13.869
Ca -7.005 -18.557 -8.314
O -5.512 -17.551 -6.598
O -3.500 -17.905 -0.241
Na -9.822 -16.079 -15.707
O -6.002 -10.626 -2.112
O -12.787 -15.857 -14.678
O -8.153 -19.494 -10.094
Si -4.296 -21.890 2.487
O 0.440 -9.712 2.182
Si -11.958 -14.593 -14.121
O -6.432 -14.586 -11.990
Na -5.133 -15.871 -8.854
O -5.976 -20.486 -7.356
O 2.897 -5.421 -11.038
Ca -0.692 -4.893 -4.622
Na -3.260 -1.815 -12.323
O -0.506 -5.367 -15.372
Si -7.482 -11.284 -1.792
O -7.827 -10.830 -11.651
Na -2.396 -7.636 -4.139
Na -1.166 -10.987 -3.266
O 0.099 -12.929 -0.974
Si -4.861 -14.176 -11.910
O -10.020 -20.564 -6.738
S 1.339 -12.376 -1.554
O 3.933 -4.596 1.267
O -3.926 -21.975 4.106
O -2.210 -15.199 -3.553
Na -2.224 -14.249 -14.018
O -9.664 -18.440 2.814
Na -9.626 -14.442 -1.769
Ca -5.328 -18.606 1.084
O -3.732 -6.917 -7.693
O -7.169 -11.620 -15.314
O 1.140 -2.027 -2.838
Na -6.679 -13.150 -9.877
Na -11.989 -19.177 2.199
O -11.498 -19.318 -13.980
S 0.694 -4.731 -15.931
O -10.349 -16.508 -8.831
O -3.838 -8.865 -0.024
O 3.571 -5.422 -6.096
O -7.380 -15.780 -1.604
O -5.487 -8.959 -9.323
O 2.881 -8.344 0.751
O 1.433 -7.750 -1.912
O -9.295 -12.782 -11.595
O -1.371 -4.350 -12.138
Ca -0.812 -9.023 -9.429
O 1.529 -10.978 -1.098
O -6.312 -21.190 -2.583
O -12.561 -18.220 -11.233
O -4.733 -14.619 -2.729
Na -5.240 -16.811 -1.719
S -7.160 -20.505 -1.541
Na -5.967 -20.709 4.518
O -1.205 -9.879 -7.199
S -5.337 -17.571 -5.122
O -3.539 -3.305 -14.678
O -1.884 -6.158 -6.350
S -5.964 -21.901 -6.895
O 0.682 -9.544 -3.828
Na -1.488 -0.461 -8.983
S -1.714 -10.965 -6.320
O -0.201 -2.471 -0.900
Ca -2.368 -4.992 -13.942
O -1.476 -6.857 -8.635
O -8.887 -11.466 -9.590
Nb -9.581 -12.610 -7.714
Na -6.814 -8.002 -11.385
Ca -11.906 -16.345 -7.342
O -5.805 -22.524 2.382
O -0.843 -9.647 -13.158
O -11.284 -18.530 -6.594
O -2.730 -14.222 -1.103
Ca -1.772 -12.965 0.471
O -7.209 -18.436 2.626
O 2.443 -4.727 -8.084
O -5.432 -13.188 -7.731
O -2.436 -11.963 -7.126
O -0.557 -1.002 -6.129
O -4.451 -11.108 -9.672
O -7.483 -11.473 -0.105
O -9.156 -12.141 -16.579
O -10.040 -20.014 -11.507
Ca -6.041 -11.188 -13.221
O -7.602 -12.717 -2.542
Ca -3.355 -13.067 -8.931
O -5.372 -6.958 -17.055
O -0.013 -11.029 -10.419
O -4.338 -3.915 -10.485
Ca 0.852 -8.961 -0.099
Na -4.361 -9.385 -6.953
O -1.920 -2.658 -10.085
Ca 3.344 -11.010 4.295
Na 2.634 -6.178 -0.664
O -4.505 -14.236 -10.317
O -9.845 -13.456 -6.093
```

(2)
DFT (PBE-GGA) results for crystalline CeMg6Co at its relaxed geometry.

extended XYZ file:
```
16
Lattice="4.955 0.000 0.000 0.000 5.671 0.000 0.000 0.000 12.647" Properties=species:S:1:pos:R:3 pbc="T T T"
Mg 2.477 1.391 0.958
Mg 0.000 4.261 11.878
Mg 2.477 4.226 7.282
Mg 2.477 1.445 7.282
Mg 2.477 0.000 3.584
Mg 0.000 1.410 11.878
Co 0.000 2.836 8.154
Mg 0.000 4.245 5.554
Ce 0.000 0.000 8.730
Mg 2.477 0.000 10.774
Ce 0.000 2.836 2.406
Mg 2.477 4.281 0.958
Mg 2.477 2.836 4.450
Mg 0.000 1.426 5.554
Mg 2.477 2.836 9.907
Co 0.000 0.000 1.830
```

Values from the calculation:
Polymorph energy (0 for the lowest one) ... 0.03 eV/f.u.

(3)
DFT (PBE-GGA) results for crystalline Pr6Fe13Cu at its relaxed geometry.

extended XYZ file:
```
40
Lattice="8.056 0.000 0.000 0.000 8.056 0.000 -4.028 -4.028 11.442" Properties=species:S:1:pos:R:3 pbc="T T T"
Fe 3.110 7.137 2.182
Fe 1.434 5.462 1.364
Pr -1.322 5.350 7.129
Fe 4.028 0.000 0.000
Pr 2.706 1.322 4.313
Fe 6.356 0.539 0.000
Pr 5.350 1.322 7.129
Cu 4.028 4.028 5.721
Fe 4.946 0.918 2.182
Fe 1.700 7.517 0.000
Fe 5.462 6.621 1.364
Fe 0.539 1.700 0.000
Fe 7.517 6.356 0.000
Fe 6.621 2.594 1.364
Fe -2.594 1.434 10.078
Pr 4.028 4.028 2.512
Fe 2.594 1.434 1.364
Pr 1.322 2.706 7.129
Fe 5.728 4.567 0.000
Pr 2.706 -1.322 7.129
Pr 1.322 5.350 4.313
Fe 0.000 4.028 0.000
Fe 1.434 2.594 10.078
Pr 5.350 -1.322 4.313
Fe -3.110 -0.918 9.260
Pr 0.000 0.000 8.930
Pr 4.028 4.028 8.930
Fe 2.328 3.489 0.000
Fe 7.137 4.946 2.182
Fe -0.918 3.110 9.260
Fe 0.918 -3.110 9.260
Fe 0.918 3.110 2.182
Fe -1.434 -2.594 10.078
Pr 0.000 0.000 2.512
Fe 3.489 5.728 0.000
Fe 4.567 2.328 0.000
Fe 2.594 -1.434 10.078
Pr -1.322 2.706 4.313
Fe 3.110 0.918 9.260
Cu 0.000 0.000 5.721
```

(4)
DFT (PBE-GGA) results for crystalline NdSi2Pt2 at its relaxed geometry.

extended XYZ file:
```
5
Lattice="5.478 1.128 1.641 1.087 0.514 5.703 -2.723 -3.770 -3.513" Properties=species:S:1:pos:R:3 pbc="T T T"
Si 2.494 0.624 2.790
Si 4.071 1.018 4.554
Pt 0.823 -1.218 2.931
Pt 3.019 -0.911 0.900
Nd 0.000 0.000 0.000
```

(5)
DFT (PBE-GGA) results for crystalline HoMgHg2 at its relaxed geometry.

extended XYZ file:
```
4
Lattice="4.508 -0.787 2.184 2.470 3.856 2.179 0.441 0.199 5.048" Properties=species:S:1:pos:R:3 pbc="T T T"
Hg 1.855 0.817 2.353
Hg 5.564 2.451 7.058
Ho 3.709 1.634 4.705
Mg 0.000 0.000 0.000
```

(6)
DFT (PBE-GGA) results for crystalline Tm2TiO5 at its relaxed geometry.

extended XYZ file:
```
16
Lattice="1.101 5.306 -2.083 -2.860 -4.813 -1.536 -8.592 3.615 4.669" Properties=species:S:1:pos:R:3 pbc="T T T"
Tm -7.182 -1.312 1.042
O -5.895 -2.933 0.196
Tm -3.169 5.420 0.008
O -3.715 -3.851 -0.989
O -2.473 -1.530 -1.277
O -5.227 -0.371 0.220
O -6.635 7.959 2.039
O -7.878 5.638 2.327
Ti -4.320 -2.153 -0.464
O -5.124 4.479 0.830
O -4.455 7.042 0.854
O -2.119 3.470 -0.767
Ti -6.030 6.261 1.514
O -8.231 0.638 1.818
Tm -0.056 4.110 -1.683
Tm -10.294 -0.002 2.733
```

Values from the calculation:
Polymorph energy (0 for the lowest one) ... 0.49 eV/f.u.

(7)
DFT (PBE-GGA) results for crystalline UTe5 at its relaxed geometry.

extended XYZ file:
```
24
Lattice="4.267 0.000 0.000 0.000 10.507 0.000 0.000 0.000 17.950" Properties=species:S:1:pos:R:3 pbc="T T T"
Te 0.508 7.880 9.666
Te 0.752 2.627 13.574
Te 0.481 5.984 6.099
Te 1.625 7.880 0.691
Te 2.133 5.253 8.975
Te 3.758 2.627 8.284
U 2.580 7.880 7.427
U 0.447 2.627 1.548
U 1.687 2.627 10.523
Te 3.514 7.880 4.376
Te 2.642 2.627 17.259
Te 2.133 0.000 8.975
Te 2.614 4.523 2.876
Te 1.381 2.627 4.599
U 3.820 7.880 16.402
Te 1.652 5.984 15.074
Te 3.786 0.730 11.851
Te 0.000 5.253 0.000
Te 1.652 9.776 15.074
Te 0.000 0.000 0.000
Te 0.481 9.776 6.099
Te 2.886 7.880 13.351
Te 2.614 0.730 2.876
Te 3.786 4.523 11.851
```

(8)
DFT (PBE-GGA) results for crystalline CrC8N6 at its relaxed geometry.

extended XYZ file:
```
15
Lattice="0.002 -0.003 5.654 6.345 3.663 0.000 -0.002 7.329 -0.004" Properties=species:S:1:pos:R:3 pbc="T T T"
N 0.839 5.872 0.948
Cr 6.346 3.660 5.544
C 1.419 2.458 1.154
C 2.836 7.326 4.268
N 4.665 3.663 0.950
C 4.928 6.117 4.269
C 3.507 3.663 1.154
N 5.505 9.535 4.481
C 2.114 3.664 1.293
N 1.679 7.326 4.481
C 1.418 4.871 1.153
N 5.506 5.116 4.483
C 4.231 7.325 4.118
N 0.840 1.455 0.950
C 4.927 8.532 4.268
```

| no. | E_form (kJ/mol of formula units) |
| --- | --- |
| 1 | -61630 |
| 2 | 105 |
| 3 | 35 |
| 4 | -496 |
| 5 | -174 |
| 6 | -2976 |
| 7 | -384 |
| 8 | 312 |